A plane-wave DFT calculation with GGA+U was carried out for a relaxed CeCrO3 crystal.

```
data_CeCrO3
_chemical_formula_sum 'Ce4 Cr4 O12'
_cell_length_a 5.720
_cell_length_b 7.808
_cell_length_c 5.486
_cell_angle_alpha 90.00
_cell_angle_beta 90.00
_cell_angle_gamma 90.00
_symmetry_space_group_name_H-M 'P n m a'
_symmetry_Int_Tables_number 62
loop_
_symmetry_equiv_pos_as_xyz
'x,y,z'
'-x,-y,-z'
'-x+1/2,-y,z+1/2'
'x+1/2,y,-z+1/2'
'x+1/2,-y+1/2,-z+1/2'
'-x+1/2,y+1/2,z+1/2'
'-x,y+1/2,-z'
'x,-y+1/2,z'
loop_
_atom_site_label
_atom_site_fract_x
_atom_site_fract_y
_atom_site_fract_z
Ce1 0.059 0.250 0.015
Cr1 0.000 0.000 0.500
O1 0.029 0.750 0.402
O2 0.201 0.551 0.801
```

The formation energy from the elements is -3.102 eV per atom. The value obtained for the theoretical density is 6509 kg/m3.